A plane-wave DFT calculation with PBE with a Hubbard U was carried out for a geometry-optimized Ba3Cr2O8 structure.

a = 5.846 Å, b = 5.848 Å, c = 14.819 Å
α = 101.27°, β = 90.05°, γ = 119.97°
Fractional positions:
Ba1 0.000 0.000 0.000
Ba2 0.079 0.186 0.309
Ba3 0.373 0.774 0.191
Ba4 0.487 0.004 0.500
Ba5 0.581 0.187 0.809
Ba6 0.875 0.775 0.691
Cr1 0.181 0.389 0.610
Cr2 0.275 0.575 0.889
Cr3 0.681 0.388 0.110
Cr4 0.774 0.574 0.390
O1 0.082 0.713 0.349
O2 0.101 0.225 0.847
O3 0.106 0.713 0.848
O4 0.129 0.278 0.493
O5 0.287 0.627 0.007
O6 0.354 0.737 0.650
O7 0.359 0.259 0.652
O8 0.375 0.257 0.154
O9 0.585 0.713 0.850
O10 0.600 0.225 0.347
O11 0.604 0.714 0.349
O12 0.612 0.286 0.993
O13 0.797 0.622 0.508
O14 0.860 0.737 0.150
O15 0.861 0.259 0.151
O16 0.873 0.262 0.652

Calculated values
- total energy (eV/atom) = -6.87
- ΔE_f (eV/atom) = -2.63



A plane-wave DFT calculation with PBE with a Hubbard U was carried out for a geometry-optimized Ba2MgV2Si4O14 structure.

a = 5.711 Å, b = 7.459 Å, c = 8.247 Å
α = 101.52°, β = 109.32°, γ = 94.54°
Fractional positions:
Ba1 0.000 0.000 0.000
Ba2 0.315 0.622 0.660
Mg1 0.872 0.243 0.734
V1 0.001 0.569 0.107
V2 0.291 0.092 0.533
Si1 0.523 0.247 0.029
Si2 0.528 0.816 0.099
Si3 0.699 0.401 0.453
Si4 0.772 0.850 0.517
O1 0.071 0.930 0.614
O2 0.144 0.557 0.322
O3 0.169 0.001 0.305
O4 0.240 0.706 0.011
O5 0.247 0.267 0.901
O6 0.524 0.020 0.036
O7 0.531 0.324 0.562
O8 0.582 0.355 0.237
O9 0.634 0.978 0.636
O10 0.651 0.858 0.312
O11 0.706 0.707 0.007
O12 0.737 0.632 0.534
O13 0.757 0.311 0.964
O14 0.962 0.327 0.542

Calculated values
- total energy (eV/atom) = -7.35
- ΔE_f (eV/atom) = -2.93



A plane-wave DFT calculation with PBE with a Hubbard U was carried out for a geometry-optimized LiVPO5 structure.

a = 5.162 Å, b = 9.124 Å, c = 17.743 Å
α = 90.00°, β = 91.34°, γ = 90.00°
Fractional positions:
Li1 0.087 0.050 0.290
Li2 0.087 0.450 0.790
Li3 0.134 0.727 0.391
Li4 0.134 0.773 0.891
Li5 0.866 0.227 0.109
Li6 0.866 0.273 0.609
Li7 0.913 0.550 0.210
Li8 0.913 0.950 0.710
V1 0.002 0.124 0.875
V2 0.002 0.376 0.375
V3 0.393 0.081 0.634
V4 0.393 0.419 0.134
V5 0.607 0.581 0.866
V6 0.607 0.919 0.366
V7 0.998 0.624 0.625
V8 0.998 0.876 0.125
P1 0.495 0.731 0.033
P2 0.495 0.769 0.533
P3 0.498 0.087 0.196
P4 0.498 0.413 0.696
P5 0.502 0.587 0.304
P6 0.502 0.913 0.804
P7 0.505 0.231 0.467
P8 0.505 0.269 0.967
O1 0.000 0.250 0.309
O2 0.000 0.250 0.809
O3 0.000 0.750 0.191
O4 0.000 0.750 0.691
O5 0.069 0.091 0.637
O6 0.069 0.409 0.137
O7 0.241 0.040 0.157
O8 0.241 0.460 0.657
O9 0.250 0.682 0.551
O10 0.250 0.818 0.051
O11 0.252 0.533 0.341
O12 0.252 0.967 0.841
O13 0.254 0.181 0.954
O14 0.254 0.319 0.454
O15 0.469 0.707 0.945
O16 0.469 0.793 0.445
O17 0.481 0.038 0.280
O18 0.481 0.462 0.780
O19 0.481 0.743 0.803
O20 0.481 0.757 0.303
O21 0.491 0.085 0.425
O22 0.491 0.415 0.925
O23 0.509 0.585 0.075
O24 0.509 0.915 0.575
O25 0.519 0.243 0.697
O26 0.519 0.257 0.197
O27 0.519 0.538 0.220
O28 0.519 0.962 0.720
O29 0.531 0.207 0.555
O30 0.531 0.293 0.055
O31 0.746 0.681 0.546
O32 0.746 0.819 0.046
O33 0.748 0.033 0.159
O34 0.748 0.467 0.659
O35 0.750 0.182 0.949
O36 0.750 0.318 0.449
O37 0.759 0.540 0.343
O38 0.759 0.960 0.843
O39 0.931 0.591 0.863
O40 0.931 0.909 0.363

Calculated values
- total energy (eV/atom) = -7.09
- ΔE_f (eV/atom) = -2.59